Material: Mg
Method: DFT, r²SCAN
State: optimized geometry

Calculated values
total energy = -4.130 eV/atom
volume = 22.3 Å³ per cell
calculated density = 1.8 g cm⁻³
spin magnetization = 0.00 μB/atom

a b c (Å): 3.071 3.071 3.071
angles (deg): 109.47 109.47 109.47
Fractional positions:
1 Mg 0.000 0.000 0.000



Material: GdThRu2
Method: DFT, r²SCAN
State: optimized geometry

Calculated values
total energy = -42.298 eV/atom
volume = 84.7 Å³ per cell
calculated density = 11.6 g cm⁻³
spin magnetization = 1.72 μB/atom

a b c (Å): 4.930 4.930 4.930
angles (deg): 60.00 60.00 60.00
Fractional positions:
1 Gd 0.500 0.500 0.500
2 Th 0.000 0.000 0.000
3 Ru 0.250 0.250 0.250
4 Ru 0.750 0.750 0.750



Material: Ba2Bi3
Method: DFT, r²SCAN
State: optimized geometry

Calculated values
total energy = -46.577 eV/atom
volume = 198.6 Å³ per cell
calculated density = 7.5 g cm⁻³
spin magnetization = 0.00 μB/atom

a b c (Å): 4.806 6.955 6.955
angles (deg): 70.54 69.79 69.79
Fractional positions:
1 Ba 0.776 0.724 0.724
2 Ba 0.224 0.276 0.276
3 Bi 0.500 0.296 0.704
4 Bi 0.000 0.000 0.000
5 Bi 0.500 0.704 0.296



Material: Ga2O3
Method: DFT, r²SCAN
State: optimized geometry

Calculated values
total energy = -10.249 eV/atom
volume = 105.7 Å³ per cell
calculated density = 5.9 g cm⁻³
spin magnetization = 0.00 μB/atom

a b c (Å): 3.048 5.817 6.326
angles (deg): 103.35 103.94 90.00
Fractional positions:
1 Ga 0.659 0.315 0.318
2 Ga 0.341 0.685 0.682
3 Ga 0.090 0.795 0.181
4 Ga 0.910 0.205 0.819
5 O 0.496 0.257 0.993
6 O 0.504 0.743 0.007
7 O 0.173 0.563 0.347
8 O 0.827 0.437 0.653
9 O 0.835 0.891 0.671
10 O 0.165 0.109 0.329



Material: SmMn2Si2
Method: DFT, r²SCAN
State: optimized geometry

Calculated values
total energy = -15.973 eV/atom
volume = 81.7 Å³ per cell
calculated density = 6.4 g cm⁻³
spin magnetization = 0.93 μB/atom

a b c (Å): 3.926 3.926 5.983
angles (deg): 109.16 109.16 90.00
Fractional positions:
1 Sm 0.000 0.000 0.000
2 Mn 0.750 0.250 0.500
3 Mn 0.250 0.750 0.500
4 Si 0.619 0.619 0.238
5 Si 0.381 0.381 0.762



Material: LiHF2
Method: DFT, r²SCAN
State: optimized geometry

Calculated values
total energy = -5.488 eV/atom
volume = 32.6 Å³ per cell
calculated density = 2.3 g cm⁻³
spin magnetization = 0.00 μB/atom

a b c (Å): 4.684 4.684 4.684
angles (deg): 36.51 36.51 36.51
Fractional positions:
1 Li 0.000 0.000 0.000
2 H 0.500 0.500 0.500
3 F 0.413 0.413 0.413
4 F 0.587 0.587 0.587



Material: CsCeSiS4
Method: DFT, r²SCAN
State: optimized geometry

Calculated values
total energy = -15.510 eV/atom
volume = 791.4 Å³ per cell
calculated density = 3.6 g cm⁻³
spin magnetization = 0.14 μB/atom

a b c (Å): 6.537 6.723 18.006
angles (deg): 90.00 90.00 90.00
Fractional positions:
1 Cs 0.489 0.750 0.217
2 Cs 0.011 0.750 0.717
3 Cs 0.511 0.250 0.783
4 Cs 0.989 0.250 0.283
5 Ce 0.287 0.750 0.477
6 Ce 0.213 0.750 0.977
7 Ce 0.713 0.250 0.523
8 Ce 0.787 0.250 0.023
9 Si 0.785 0.750 0.415
10 Si 0.715 0.750 0.915
11 Si 0.215 0.250 0.585
12 Si 0.285 0.250 0.085
13 S 0.043 0.750 0.345
14 S 0.457 0.750 0.845
15 S 0.957 0.250 0.655
16 S 0.543 0.250 0.155
17 S 0.628 0.750 0.028
18 S 0.872 0.750 0.528
19 S 0.372 0.250 0.972
20 S 0.128 0.250 0.472
21 S 0.590 0.501 0.397
22 S 0.910 0.999 0.897
23 S 0.410 0.001 0.603
24 S 0.090 0.499 0.103
25 S 0.410 0.499 0.603
26 S 0.090 0.001 0.103
27 S 0.590 0.999 0.397
28 S 0.910 0.501 0.897



Material: GdCdRh2
Method: DFT, r²SCAN
State: optimized geometry

Calculated values
total energy = -28.483 eV/atom
volume = 72.8 Å³ per cell
calculated density = 10.8 g cm⁻³
spin magnetization = 1.81 μB/atom

a b c (Å): 4.688 4.688 4.688
angles (deg): 60.00 60.00 60.00
Fractional positions:
1 Gd 0.000 0.000 0.000
2 Cd 0.500 0.500 0.500
3 Rh 0.250 0.250 0.250
4 Rh 0.750 0.750 0.750



Material: EuSi3Ni
Method: DFT, r²SCAN
State: optimized geometry

Calculated values
total energy = -15.929 eV/atom
volume = 81.6 Å³ per cell
calculated density = 6.0 g cm⁻³
spin magnetization = 1.35 μB/atom

a b c (Å): 5.608 5.608 5.608
angles (deg): 136.79 136.79 62.76
Fractional positions:
1 Eu 0.986 0.986 0.000
2 Si 0.741 0.241 0.500
3 Si 0.241 0.741 0.500
4 Si 0.397 0.397 0.000
5 Ni 0.636 0.636 0.000



Material: BeI2
Method: DFT, r²SCAN
State: optimized geometry

Calculated values
total energy = -18.491 eV/atom
volume = 1707.2 Å³ per cell
calculated density = 4.1 g cm⁻³
spin magnetization = 0.00 μB/atom

a b c (Å): 12.683 12.685 13.891
angles (deg): 117.13 117.16 90.02
Fractional positions:
1 Be 0.602 0.563 0.378
2 Be 0.315 0.602 0.878
3 Be 0.563 0.776 0.877
4 Be 0.724 0.937 0.623
5 Be 0.898 0.185 0.622
6 Be 0.185 0.723 0.122
7 Be 0.937 0.898 0.122
8 Be 0.777 0.315 0.378
9 Be 0.398 0.437 0.622
10 Be 0.685 0.398 0.122
11 Be 0.437 0.224 0.123
12 Be 0.276 0.063 0.377
13 Be 0.102 0.815 0.378
14 Be 0.815 0.277 0.878
15 Be 0.063 0.102 0.878
16 Be 0.223 0.685 0.622
17 I 0.660 0.595 0.248
18 I 0.154 0.660 0.749
19 I 0.595 0.588 0.749
20 I 0.912 0.905 0.752
21 I 0.840 0.346 0.751
22 I 0.346 0.911 0.251
23 I 0.905 0.840 0.252
24 I 0.589 0.154 0.250
25 I 0.340 0.405 0.752
26 I 0.846 0.340 0.251
27 I 0.405 0.412 0.251
28 I 0.088 0.095 0.248
29 I 0.160 0.654 0.249
30 I 0.654 0.089 0.749
31 I 0.095 0.160 0.748
32 I 0.411 0.846 0.750
33 I 0.759 0.509 0.517
34 I 0.509 0.759 0.017
35 I 0.741 0.991 0.483
36 I 0.991 0.741 0.983
37 I 0.241 0.491 0.483
38 I 0.491 0.241 0.983
39 I 0.259 0.009 0.517
40 I 0.009 0.259 0.017
41 I 0.560 0.750 0.500
42 I 0.250 0.560 0.000
43 I 0.750 0.940 0.000
44 I 0.941 0.250 0.500
45 I 0.440 0.250 0.500
46 I 0.750 0.440 0.000
47 I 0.250 0.060 0.000
48 I 0.059 0.750 0.500



Which of these has the highest calculated density?
GdThRu2